Record 1
DFT (PBE-GGA) results for a relaxed structure of Na7Ta2Zn2Si3P3O24.

Structure (POSCAR):
```
Na7Ta2Zn2Si3P3O24
1.0
-8.268 -2.160 -3.169
2.133 -1.636 8.684
-7.490 20.165 5.432
O P Zn Na Si Ta
72 9 6 21 9 6
Direct
0.161 0.693 0.470
0.631 0.535 0.644
0.159 0.499 0.571
0.835 0.803 0.302
0.488 0.108 0.641
0.482 0.322 0.745
0.301 0.482 0.758
0.828 0.040 0.081
0.507 0.139 0.922
0.707 0.532 0.245
0.340 0.839 0.574
0.184 0.701 0.756
0.863 0.367 0.920
0.519 0.875 0.354
0.161 0.481 0.255
0.838 0.518 0.024
0.160 0.191 0.698
0.532 0.673 0.256
0.788 0.964 0.694
0.527 0.825 0.757
0.023 0.829 0.695
0.210 0.172 0.081
0.212 0.185 0.815
0.897 0.384 0.642
0.783 0.810 0.189
0.440 0.142 0.521
0.193 0.028 0.306
0.980 0.159 0.594
0.374 0.497 0.086
0.822 0.817 0.591
0.822 0.301 0.245
0.493 0.343 0.140
0.848 0.286 0.524
0.854 0.504 0.142
0.821 0.825 0.916
0.822 0.974 0.411
0.140 0.455 0.977
0.040 0.844 0.412
0.158 0.192 0.411
0.357 0.865 0.863
0.479 0.341 0.420
0.480 0.184 0.245
0.310 0.855 0.977
0.019 0.200 0.911
0.502 0.875 0.084
0.028 0.209 0.185
0.527 0.840 0.472
0.510 0.659 0.573
0.964 0.808 0.081
0.170 0.999 0.592
0.190 0.992 0.915
0.134 0.499 0.864
0.675 0.162 0.028
0.633 0.486 0.921
0.482 0.322 0.026
0.498 0.642 0.863
0.654 0.145 0.141
0.307 0.471 0.466
0.707 0.551 0.531
0.327 0.843 0.253
0.343 0.464 0.353
0.660 0.152 0.419
0.111 0.640 0.357
0.540 0.684 0.983
0.842 0.512 0.745
0.675 0.144 0.745
0.968 0.161 0.305
0.817 0.026 0.807
0.862 0.518 0.426
0.182 0.963 0.186
0.143 0.636 0.084
0.970 0.783 0.813
0.665 0.629 0.584
0.666 0.048 0.082
0.707 0.996 0.752
0.333 0.374 0.411
0.040 0.374 0.920
0.338 0.961 0.921
0.038 0.669 0.415
0.383 0.333 0.083
0.711 0.709 0.246
0.330 0.669 0.318
0.333 0.669 0.018
0.667 0.336 0.677
0.991 0.993 0.849
0.664 0.325 0.491
0.005 0.996 0.150
0.326 0.652 0.664
0.667 0.344 0.349
0.316 0.289 0.908
0.275 0.945 0.086
0.354 0.375 0.256
0.359 0.044 0.424
0.667 0.329 0.821
0.952 0.307 0.426
0.377 0.022 0.742
0.667 0.994 0.583
0.010 0.674 0.585
0.617 0.979 0.261
0.983 0.993 0.996
0.029 0.645 0.255
0.000 0.003 0.502
0.056 0.335 0.087
0.325 0.667 0.169
0.649 0.620 0.745
0.670 0.722 0.079
0.978 0.357 0.740
0.976 0.692 0.907
0.962 0.629 0.083
0.370 0.039 0.582
0.293 0.999 0.246
0.002 0.292 0.245
0.000 0.703 0.754
0.631 0.962 0.412
0.629 0.675 0.923
0.966 0.332 0.583
0.295 0.293 0.756
0.335 0.666 0.815
0.999 0.002 0.352
0.673 0.334 0.190
0.338 0.668 0.517
0.671 0.339 0.976
0.008 0.004 0.649
```

Values from the calculation:
The calculation puts the formation energy at -2726 meV per atom.

=====

Record 2
DFT (PBE-GGA) results for a relaxed structure of Na15Ta10Zn2Si15P3O72.

Structure (POSCAR):
```
Na15Ta10Zn2Si15P3O72
1.0
9.018 -0.003 -0.009
-4.512 7.817 0.006
-0.023 0.005 22.532
O Ta Si Na P Zn
72 10 15 15 3 2
Direct
0.344 0.498 0.075
0.811 0.974 0.409
0.640 0.495 0.924
0.022 0.835 0.409
0.686 0.162 0.750
0.150 0.503 0.573
0.508 0.145 0.925
0.509 0.858 0.074
0.189 0.176 0.807
0.183 0.020 0.590
0.307 0.833 0.973
0.836 0.313 0.249
0.507 0.361 0.424
0.137 0.497 0.858
0.181 0.165 0.089
0.832 0.028 0.089
0.854 0.493 0.424
0.534 0.708 0.256
0.035 0.834 0.691
0.480 0.368 0.148
0.641 0.146 0.423
0.811 0.835 0.910
0.458 0.306 0.749
0.165 0.190 0.410
0.895 0.510 0.145
0.828 0.299 0.529
0.971 0.159 0.590
0.347 0.850 0.574
0.029 0.197 0.191
0.524 0.690 0.973
0.167 0.198 0.696
0.161 0.694 0.475
0.629 0.519 0.648
0.834 0.019 0.807
0.475 0.169 0.528
0.476 0.166 0.249
0.833 0.521 0.029
0.150 0.650 0.074
0.161 0.965 0.193
0.292 0.465 0.755
0.504 0.639 0.857
0.694 0.543 0.249
0.900 0.386 0.646
0.800 0.834 0.196
0.826 0.812 0.306
0.853 0.356 0.925
0.362 0.865 0.858
0.969 0.812 0.090
0.696 0.163 0.032
0.490 0.106 0.645
0.505 0.661 0.575
0.802 0.969 0.691
0.179 0.698 0.755
0.989 0.821 0.807
0.301 0.820 0.255
0.183 0.015 0.307
0.980 0.165 0.306
0.839 0.813 0.590
0.503 0.862 0.357
0.632 0.104 0.144
0.182 0.477 0.255
0.310 0.476 0.472
0.360 0.495 0.356
0.476 0.307 0.029
0.167 0.979 0.909
0.027 0.189 0.910
0.531 0.841 0.475
0.700 0.526 0.530
0.138 0.640 0.358
0.522 0.816 0.755
0.833 0.526 0.752
0.162 0.470 0.975
0.334 0.665 0.519
0.666 0.332 0.479
0.333 0.670 0.815
0.329 0.665 0.314
0.995 0.997 0.858
0.333 0.667 0.019
0.665 0.338 0.978
0.000 0.998 0.644
0.007 0.999 0.144
0.004 0.006 0.358
0.336 0.960 0.917
0.001 0.711 0.751
0.660 0.617 0.586
0.624 0.959 0.416
0.960 0.336 0.585
0.378 0.045 0.585
0.709 0.998 0.751
0.041 0.376 0.917
0.001 0.290 0.250
0.040 0.665 0.417
0.337 0.378 0.416
0.381 0.338 0.086
0.290 0.999 0.251
0.956 0.623 0.085
0.621 0.664 0.916
0.340 0.674 0.162
0.635 0.021 0.245
0.661 0.976 0.585
0.671 0.333 0.831
0.634 0.615 0.742
0.001 0.990 0.999
0.386 0.018 0.741
0.982 0.613 0.241
0.385 0.366 0.242
0.024 0.687 0.585
0.332 0.656 0.663
0.009 0.010 0.497
0.667 0.330 0.331
0.977 0.367 0.744
0.024 0.338 0.086
0.281 0.286 0.752
0.714 0.720 0.251
0.663 0.040 0.084
0.666 0.333 0.180
0.672 0.334 0.679
```

Values from the calculation:
The calculation puts the formation energy at -3002 meV per atom.

=====

Record 3
DFT (PBE-GGA) results for a relaxed structure of Na3Ta5ZnSi3P6O36.

Structure (POSCAR):
```
Na3Ta5ZnSi3P6O36
1.0
8.822 0.000 0.000
-4.411 7.640 0.000
0.000 0.000 22.689
Ta Si O P Zn Na
10 6 72 12 2 6
Direct
0.333 0.667 0.812
0.333 0.667 0.520
0.667 0.333 0.978
0.333 0.667 0.312
0.000 0.000 0.856
0.000 0.000 0.646
0.000 0.000 0.146
0.000 0.000 0.356
0.333 0.667 0.020
0.667 0.333 0.478
0.047 0.666 0.416
0.334 0.953 0.916
0.334 0.381 0.416
0.047 0.381 0.916
0.619 0.953 0.416
0.619 0.666 0.916
0.695 0.162 0.747
0.172 0.976 0.195
0.825 0.016 0.804
0.632 0.119 0.140
0.497 0.633 0.858
0.855 0.495 0.427
0.465 0.160 0.530
0.833 0.808 0.591
0.191 0.016 0.304
0.640 0.145 0.427
0.530 0.832 0.474
0.855 0.360 0.927
0.812 0.975 0.407
0.136 0.633 0.358
0.975 0.808 0.091
0.984 0.175 0.304
0.168 0.699 0.474
0.192 0.025 0.591
0.367 0.864 0.858
0.695 0.533 0.247
0.168 0.470 0.974
0.640 0.495 0.927
0.825 0.809 0.304
0.487 0.119 0.640
0.350 0.494 0.075
0.632 0.513 0.640
0.840 0.305 0.530
0.505 0.145 0.927
0.487 0.368 0.140
0.804 0.976 0.695
0.975 0.167 0.591
0.467 0.305 0.747
0.984 0.809 0.804
0.506 0.857 0.075
0.143 0.650 0.075
0.467 0.162 0.247
0.192 0.167 0.091
0.172 0.470 0.255
0.136 0.503 0.858
0.350 0.857 0.575
0.506 0.650 0.575
0.367 0.503 0.358
0.530 0.702 0.255
0.301 0.470 0.474
0.298 0.828 0.255
0.530 0.699 0.974
0.298 0.470 0.755
0.163 0.975 0.907
0.530 0.828 0.755
0.025 0.188 0.907
0.024 0.196 0.195
0.465 0.305 0.030
0.497 0.864 0.358
0.191 0.175 0.804
0.024 0.828 0.695
0.172 0.702 0.755
0.881 0.368 0.640
0.143 0.494 0.575
0.301 0.832 0.974
0.881 0.513 0.140
0.812 0.837 0.907
0.695 0.160 0.030
0.163 0.188 0.407
0.695 0.535 0.530
0.172 0.196 0.695
0.505 0.360 0.427
0.838 0.305 0.247
0.838 0.533 0.747
0.025 0.837 0.407
0.840 0.535 0.030
0.804 0.828 0.195
0.833 0.025 0.091
0.711 0.710 0.250
0.381 0.045 0.585
0.665 0.619 0.585
0.665 0.045 0.085
0.955 0.335 0.585
0.290 0.002 0.250
0.711 0.002 0.750
0.998 0.289 0.250
0.955 0.619 0.085
0.381 0.335 0.085
0.290 0.289 0.750
0.998 0.710 0.750
0.667 0.333 0.186
0.667 0.333 0.686
0.333 0.667 0.167
0.667 0.333 0.826
0.333 0.667 0.667
0.667 0.333 0.326
0.000 0.000 0.999
0.000 0.000 0.499
```

Values from the calculation:
The calculation puts the formation energy at -2996 meV per atom.

=====

Question: What is the formula in the second record?
Answer: Na15Ta10Zn2Si15P3O72